Record 1
This record from the Materials Project database describes NdZn3As3 after structural relaxation. The functional is PBE.

```
data_NdZn3As3
_symmetry_space_group_name_H-M 'P 1 m 1'
_symmetry_Int_Tables_number 6
_cell_length_a 4.2005
_cell_length_b 20.6324
_cell_length_c 4.2068
_cell_angle_alpha 90.00
_cell_angle_beta 119.81
_cell_angle_gamma 90.00
loop_
_symmetry_equiv_pos_as_xyz
'x,y,z'
'x,-y,z'
loop_
_atom_site_label
_atom_site_type_symbol
_atom_site_fract_x
_atom_site_fract_y
_atom_site_fract_z
_atom_site_occupancy
Nd1 Nd 0.0000 0.2499 0.0000 1
Zn1 Zn 0.3305 0.1217 0.6665 1
Zn2 Zn 0.3594 0.5000 0.6363 1
Zn3 Zn 0.6651 0.3783 0.3343 1
Zn4 Zn 0.7265 0.0000 0.3612 1
As1 As 0.3324 0.3361 0.6675 1
As2 As 0.3964 0.0000 0.6985 1
As3 As 0.6648 0.1638 0.3334 1
As4 As 0.6961 0.5000 0.2980 1
```

***

Record 2
# ZnSn2O4 PBE relaxed
# Spin magnetization in μB/atom: 0.000
# Polymorph energy (0 for the lowest one) in meV/atom: 32.0
data_ZnSn2O4
_symmetry_space_group_name_H-M 'C 1 m 1'
_symmetry_Int_Tables_number 8
_cell_length_a 11.0964
_cell_length_b 6.3834
_cell_length_c 17.1952
_cell_angle_alpha 90.00
_cell_angle_beta 91.27
_cell_angle_gamma 90.00
loop_
_symmetry_equiv_pos_as_xyz
'x,y,z'
'x,-y,z'
'x+1/2,y+1/2,z'
'x+1/2,-y+1/2,z'
loop_
_atom_site_label
_atom_site_type_symbol
_atom_site_fract_x
_atom_site_fract_y
_atom_site_fract_z
_atom_site_occupancy
Zn1 Zn 0.0000 0.0000 0.0000 1
Zn2 Zn 0.0008 0.5000 0.5072 1
Zn3 Zn 0.1687 0.0000 0.8377 1
Zn4 Zn 0.1743 0.5000 0.3469 1
Zn5 Zn 0.3339 0.0000 0.6715 1
Zn6 Zn 0.4894 0.0000 0.1186 1
Sn1 Sn 0.0004 0.5000 0.8781 1
Sn2 Sn 0.0837 0.2498 0.6718 1
Sn3 Sn 0.1677 0.0000 0.4630 1
Sn4 Sn 0.1777 0.0000 0.2208 1
Sn5 Sn 0.2451 0.2460 0.0051 1
Sn6 Sn 0.3302 0.5000 0.7985 1
Sn7 Sn 0.3351 0.5000 0.1671 1
Sn8 Sn 0.3372 0.5000 0.5449 1
Sn9 Sn 0.4238 0.2452 0.3405 1
O1 O 0.0008 0.0000 0.2777 1
O2 O 0.0032 0.5000 0.7309 1
O3 O 0.0146 0.0000 0.7416 1
O4 O 0.0744 0.2804 0.4156 1
O5 O 0.0991 0.2285 0.9248 1
O6 O 0.1503 0.5000 0.6025 1
O7 O 0.1598 0.0000 0.0606 1
O8 O 0.1645 0.0000 0.6135 1
O9 O 0.1642 0.5000 0.0739 1
O10 O 0.2359 0.2290 0.7474 1
O11 O 0.2571 0.2570 0.2831 1
O12 O 0.3137 0.0000 0.9338 1
O13 O 0.3296 0.5000 0.9541 1
O14 O 0.3520 0.5000 0.4015 1
O15 O 0.3607 0.0000 0.4141 1
O16 O 0.4021 0.2526 0.0793 1
O17 O 0.4328 0.2282 0.5959 1
O18 O 0.4884 0.0000 0.2665 1

***

Record 3
This record from the Materials Project database describes Nb3FeSe6 after structural relaxation. The functional is PBE.

```
data_Nb3FeSe6
_symmetry_space_group_name_H-M 'P 63 2 2'
_symmetry_Int_Tables_number 182
_symmetry_space_group_name_Hall 'P 6c 2c'
_cell_length_a 6.0562
_cell_length_b 6.0562
_cell_length_c 12.6402
_cell_angle_alpha 90.00
_cell_angle_beta 90.00
_cell_angle_gamma 120.00
loop_
_atom_site_label
_atom_site_type_symbol
_atom_site_fract_x
_atom_site_fract_y
_atom_site_fract_z
_atom_site_occupancy
Nb1 Nb 0.0000 0.0000 0.0000 1
Nb2 Nb 0.3333 0.6667 0.0011 1
Fe1 Fe 0.3333 0.6667 0.2500 1
Se1 Se 0.0038 0.3330 0.8668 1
```

***

Record 4
This record from the Materials Project database describes NaLaS2 after structural relaxation. The functional is PBE.

```
data_NaLaS2
_symmetry_space_group_name_H-M 'R -3 m'
_symmetry_Int_Tables_number 166
_symmetry_space_group_name_Hall '-R 3 2"'
_cell_length_a 4.2361
_cell_length_b 4.2361
_cell_length_c 19.8535
_cell_angle_alpha 90.00
_cell_angle_beta 90.00
_cell_angle_gamma 120.00
loop_
_atom_site_label
_atom_site_type_symbol
_atom_site_fract_x
_atom_site_fract_y
_atom_site_fract_z
_atom_site_occupancy
Na1 Na 0.0000 0.0000 0.0000 1
La1 La 0.0000 0.0000 0.5000 1
S1 S 0.0000 0.0000 0.2449 1
```

***

Record 5
# NaZnP2HO7 PBE relaxed
# Spin magnetization in μB/atom: 0.000
data_NaZnP2HO7
_symmetry_space_group_name_H-M 'P -1'
_symmetry_Int_Tables_number 2
_cell_length_a 6.5632
_cell_length_b 6.6183
_cell_length_c 6.8301
_cell_angle_alpha 84.19
_cell_angle_beta 66.52
_cell_angle_gamma 88.52
loop_
_symmetry_equiv_pos_as_xyz
'x,y,z'
'-x,-y,-z'
loop_
_atom_site_label
_atom_site_type_symbol
_atom_site_fract_x
_atom_site_fract_y
_atom_site_fract_z
_atom_site_occupancy
Na1 Na 0.2158 0.3535 0.2576 1
Zn1 Zn 0.2165 0.8513 0.8732 1
P1 P 0.2421 0.3580 0.7829 1
P2 P 0.3332 0.8759 0.3639 1
H1 H 0.0658 0.7092 0.2993 1
O1 O 0.1190 0.4081 0.6344 1
O2 O 0.1342 0.1724 0.9481 1
O3 O 0.1639 0.8776 0.5924 1
O4 O 0.2256 0.7899 0.2201 1
O5 O 0.2764 0.5358 0.8924 1
O6 O 0.4519 0.0753 0.2523 1
O7 O 0.4853 0.2888 0.6250 1

***

Record 6
# K3Na2SnP3 PBE relaxed
# Spin magnetization in μB/atom: 0.000
data_K3Na2SnP3
_symmetry_space_group_name_H-M 'C m c e'
_symmetry_Int_Tables_number 64
_symmetry_space_group_name_Hall '-C 2ac 2'
_cell_length_a 20.1197
_cell_length_b 6.7132
_cell_length_c 15.1512
_cell_angle_alpha 90.00
_cell_angle_beta 90.00
_cell_angle_gamma 90.00
loop_
_atom_site_label
_atom_site_type_symbol
_atom_site_fract_x
_atom_site_fract_y
_atom_site_fract_z
_atom_site_occupancy
K1 K 0.0000 0.2409 0.1800 1
K2 K 0.1670 0.2303 0.8232 1
Na1 Na 0.0808 0.0000 0.0000 1
Na2 Na 0.2448 0.0000 0.0000 1
Sn1 Sn 0.0882 0.0000 0.5000 1
P1 P 0.0000 0.2034 0.4076 1
P2 P 0.1577 0.2192 0.6036 1

***

Record 7
# La4PtO7 PBE relaxed
# Spin magnetization in μB/atom: 0.000
data_La4PtO7
_symmetry_space_group_name_H-M 'P 1'
_symmetry_Int_Tables_number 1
_cell_length_a 4.0481
_cell_length_b 7.0304
_cell_length_c 7.2604
_cell_angle_alpha 83.64
_cell_angle_beta 73.89
_cell_angle_gamma 73.37
loop_
_symmetry_equiv_pos_as_xyz
'x,y,z'
loop_
_atom_site_label
_atom_site_type_symbol
_atom_site_fract_x
_atom_site_fract_y
_atom_site_fract_z
_atom_site_occupancy
La1 La 0.0000 0.0000 0.0000 1
La2 La 0.1574 0.4365 0.2370 1
La3 La 0.6593 0.1153 0.5557 1
La4 La 0.8263 0.5596 0.7856 1
Pt1 Pt 0.3983 0.7736 0.3963 1
O1 O 0.0383 0.2086 0.7025 1
O2 O 0.2039 0.6310 0.9548 1
O3 O 0.2950 0.0622 0.2868 1
O4 O 0.4878 0.4838 0.5044 1
O5 O 0.6125 0.9284 0.8402 1
O6 O 0.7760 0.3426 0.0895 1
O7 O 0.8860 0.7512 0.4421 1

***

Record 8
# Nd3Hg PBE relaxed
# Spin magnetization in μB/atom: 0.004
data_Nd3Hg
_symmetry_space_group_name_H-M 'I 4/m m m'
_symmetry_Int_Tables_number 139
_symmetry_space_group_name_Hall '-I 4 2'
_cell_length_a 4.8637
_cell_length_b 4.8637
_cell_length_c 10.2310
_cell_angle_alpha 90.00
_cell_angle_beta 90.00
_cell_angle_gamma 90.00
loop_
_atom_site_label
_atom_site_type_symbol
_atom_site_fract_x
_atom_site_fract_y
_atom_site_fract_z
_atom_site_occupancy
Nd1 Nd 0.0000 0.0000 0.0000 1
Nd2 Nd 0.0000 0.5000 0.2500 1
Hg1 Hg 0.0000 0.0000 0.5000 1

***

Record 9
# Ba4Ir3O10 PBE relaxed
# Polymorph energy (0 for the lowest one) in meV/atom: 3.9
data_Ba4Ir3O10
_symmetry_space_group_name_H-M 'C m c e'
_symmetry_Int_Tables_number 64
_symmetry_space_group_name_Hall '-C 2ac 2'
_cell_length_a 5.8385
_cell_length_b 13.4074
_cell_length_c 13.5175
_cell_angle_alpha 90.00
_cell_angle_beta 90.00
_cell_angle_gamma 90.00
loop_
_atom_site_label
_atom_site_type_symbol
_atom_site_fract_x
_atom_site_fract_y
_atom_site_fract_z
_atom_site_occupancy
Ba1 Ba 0.0000 0.0393 0.1397 1
Ba2 Ba 0.0000 0.2427 0.3792 1
Ir1 Ir 0.0000 0.0000 0.5000 1
Ir2 Ir 0.0000 0.1205 0.6496 1
O1 O 0.0000 0.0402 0.3530 1
O2 O 0.0000 0.2314 0.1645 1
O3 O 0.2284 0.1126 0.5339 1
O4 O 0.2500 0.1022 0.7500 1

***

Record 10
# Na8Ca3HfSi3S3O24 PBE relaxed
# Spin magnetization in μB/atom: 0.000
data_Na8Ca3HfSi3S3O24
_symmetry_space_group_name_H-M 'P 1'
_symmetry_Int_Tables_number 1
_cell_length_a 9.4751
_cell_length_b 9.4765
_cell_length_c 23.1407
_cell_angle_alpha 89.93
_cell_angle_beta 89.86
_cell_angle_gamma 60.15
loop_
_symmetry_equiv_pos_as_xyz
'x,y,z'
loop_
_atom_site_label
_atom_site_type_symbol
_atom_site_fract_x
_atom_site_fract_y
_atom_site_fract_z
_atom_site_occupancy
Na1 Na 0.0000 0.0000 0.0000 1
Na2 Na 0.0019 0.0528 0.3293 1
Na3 Na 0.0116 0.3488 0.7514 1
Na4 Na 0.0272 0.7074 0.4995 1
Na5 Na 0.0391 0.6808 0.8368 1
Na6 Na 0.2880 0.0685 0.8227 1
Na7 Na 0.2887 0.4215 0.3482 1
Na8 Na 0.3183 0.7063 0.9079 1
Na9 Na 0.3331 0.6797 0.4197 1
Na10 Na 0.3385 0.0489 0.1685 1
Na11 Na 0.3532 0.3148 0.6715 1
Na12 Na 0.3582 0.0300 0.5224 1
Na13 Na 0.3715 0.3695 0.9897 1
Na14 Na 0.6146 0.3863 0.5159 1
Na15 Na 0.6299 0.7416 0.0123 1
Na16 Na 0.6369 0.0681 0.5993 1
Na17 Na 0.6752 0.3698 0.8261 1
Na18 Na 0.6769 0.7097 0.6701 1
Na19 Na 0.6872 0.0216 0.0979 1
Na20 Na 0.6979 0.6564 0.3289 1
Na21 Na 0.7220 0.3272 0.1816 1
Na22 Na 0.9399 0.7307 0.1776 1
Na23 Na 0.9546 0.0963 0.6839 1
Na24 Na 0.9736 0.3879 0.2527 1
Ca1 Ca 0.0021 0.3785 0.4040 1
Ca2 Ca 0.0033 0.3688 0.9009 1
Ca3 Ca 0.0148 0.3618 0.6057 1
Ca4 Ca 0.3321 0.7127 0.0739 1
Ca5 Ca 0.3389 0.7020 0.5731 1
Ca6 Ca 0.6602 0.0519 0.7395 1
Ca7 Ca 0.6704 0.0509 0.9243 1
Ca8 Ca 0.6749 0.0381 0.2377 1
Ca9 Ca 0.9940 0.3730 0.1091 1
Hf1 Hf 0.3329 0.7093 0.2697 1
Hf2 Hf 0.3386 0.7058 0.7665 1
Hf3 Hf 0.6690 0.0524 0.4312 1
Si1 Si 0.0364 0.0054 0.1686 1
Si2 Si 0.3136 0.3664 0.4990 1
Si3 Si 0.3368 0.0036 0.6674 1
Si4 Si 0.3564 0.3573 0.8371 1
Si5 Si 0.6298 0.7101 0.1685 1
Si6 Si 0.6380 0.4071 0.6677 1
Si7 Si 0.6608 0.3492 0.3324 1
Si8 Si 0.9705 0.7424 0.3348 1
Si9 Si 0.9840 0.0303 0.8363 1
S1 S 0.0390 0.7074 0.6704 1
S2 S 0.3061 0.0717 0.0033 1
S3 S 0.3319 0.4162 0.1707 1
S4 S 0.3762 0.0314 0.3361 1
S5 S 0.6596 0.7383 0.8363 1
S6 S 0.6977 0.3723 0.0034 1
S7 S 0.6977 0.6862 0.5000 1
S8 S 0.9915 0.0717 0.4991 1
S9 S 0.9982 0.6746 0.0038 1
O1 O 0.0006 0.1951 0.8389 1
O2 O 0.0018 0.5575 0.3411 1
O3 O 0.0073 0.5809 0.9514 1
O4 O 0.0139 0.1472 0.4471 1
O5 O 0.0332 0.5537 0.6697 1
O6 O 0.0403 0.1774 0.1739 1
O7 O 0.1078 0.7302 0.6163 1
O8 O 0.1121 0.9055 0.1091 1
O9 O 0.1323 0.9040 0.5048 1
O10 O 0.1467 0.6940 0.7210 1
O11 O 0.1489 0.6899 0.0039 1
O12 O 0.1510 0.7379 0.3319 1
O13 O 0.1567 0.8919 0.2251 1
O14 O 0.1668 0.3978 0.8410 1
O15 O 0.1707 0.8678 0.8268 1
O16 O 0.1717 0.1828 0.6745 1
O17 O 0.1776 0.4112 0.1701 1
O18 O 0.2080 0.1576 0.9520 1
O19 O 0.2079 0.1668 0.3453 1
O20 O 0.2092 0.3869 0.4410 1
O21 O 0.2282 0.1669 0.0564 1
O22 O 0.2364 0.3305 0.5567 1
O23 O 0.3186 0.5226 0.2220 1
O24 O 0.3201 0.9067 0.0042 1
O25 O 0.3274 0.8912 0.7223 1
O26 O 0.3323 0.5311 0.5012 1
O27 O 0.3442 0.9146 0.6066 1
O28 O 0.3492 0.5370 0.8266 1
O29 O 0.3550 0.4856 0.1172 1
O30 O 0.3722 0.8743 0.3330 1
O31 O 0.4415 0.0615 0.2832 1
O32 O 0.4406 0.2304 0.7842 1
O33 O 0.4634 0.2890 0.8972 1
O34 O 0.4720 0.2508 0.1775 1
O35 O 0.4744 0.0499 0.9993 1
O36 O 0.4850 0.0127 0.3867 1
O37 O 0.4887 0.5301 0.3319 1
O38 O 0.5020 0.1950 0.4923 1
O39 O 0.5062 0.0101 0.6718 1
O40 O 0.5073 0.7254 0.8291 1
O41 O 0.5189 0.6961 0.2246 1
O42 O 0.5242 0.5259 0.7234 1
O43 O 0.5288 0.5167 0.0060 1
O44 O 0.5299 0.7114 0.5041 1
O45 O 0.5390 0.4840 0.6081 1
O46 O 0.5400 0.7202 0.1077 1
O47 O 0.6329 0.8371 0.8893 1
O48 O 0.6355 0.8800 0.1722 1
O49 O 0.6401 0.2422 0.3882 1
O50 O 0.6649 0.2226 0.6718 1
O51 O 0.6841 0.2472 0.2748 1
O52 O 0.6848 0.8518 0.4923 1
O53 O 0.6857 0.2199 0.0010 1
O54 O 0.6873 0.8139 0.7854 1
O55 O 0.7758 0.5833 0.4488 1
O56 O 0.7769 0.3915 0.9513 1
O57 O 0.7937 0.3600 0.0555 1
O58 O 0.7965 0.6126 0.5525 1
O59 O 0.7993 0.5713 0.8428 1
O60 O 0.8106 0.4095 0.6717 1
O61 O 0.8109 0.5464 0.1744 1
O62 O 0.8212 0.3682 0.3413 1
O63 O 0.8383 0.0569 0.4930 1
O64 O 0.8482 0.8404 0.0026 1
O65 O 0.8505 0.0365 0.1716 1
O66 O 0.8611 0.8176 0.2780 1
O67 O 0.8674 0.0546 0.7816 1
O68 O 0.8686 0.8668 0.3915 1
O69 O 0.8744 0.8482 0.6781 1
O70 O 0.9183 0.9889 0.8967 1
O71 O 0.9636 0.1730 0.5509 1
O72 O 0.9891 0.5903 0.0564 1

***

Record 11
# Sr2TmNbO6 PBE relaxed
# Piezoelectric modulus e_max in C/m2: 1.7
# Spin magnetization in μB/atom: 0.000
data_Sr2TmNbO6
_symmetry_space_group_name_H-M 'P n n 2'
_symmetry_Int_Tables_number 34
_cell_length_a 5.9395
_cell_length_b 8.3554
_cell_length_c 5.9063
_cell_angle_alpha 90.00
_cell_angle_beta 90.00
_cell_angle_gamma 90.00
loop_
_symmetry_equiv_pos_as_xyz
'x,y,z'
'-x,-y,z'
'-x+1/2,y+1/2,z+1/2'
'x+1/2,-y+1/2,z+1/2'
loop_
_atom_site_label
_atom_site_type_symbol
_atom_site_fract_x
_atom_site_fract_y
_atom_site_fract_z
_atom_site_occupancy
Sr1 Sr 0.0192 0.2484 0.0000 1
Tm1 Tm 0.0000 0.0000 0.4994 1
Nb1 Nb 0.0000 0.5000 0.4990 1
O1 O 0.0134 0.7397 0.4777 1
O2 O 0.2306 0.5040 0.7481 1
O3 O 0.2503 0.4913 0.2700 1

***

| no. | uncorrected energy (eV/atom) | formation energy (eV/atom) |
| --- | --- | --- |
| 1 | -3.76 | -0.543 |
| 2 | -5.51 | -1.747 |
| 3 | -6.73 | -1.037 |
| 4 | -5.48 | -2.101 |
| 5 | -6.26 | -2.375 |
| 6 | -3.31 | -0.397 |
| 7 | -7.99 | -3.352 |
| 8 | -3.81 | -0.157 |
| 9 | -6.66 | -2.142 |
| 10 | -6.43 | -2.675 |
| 11 | -7.81 | -3.454 |